First-principles (PBE) data for a relaxed structure of La6Cu6O17, as listed in Materials Project.

**ΔH_f (0 K)**: -237.3 kJ per mole of atoms
**Space group**: C2/m, No. 12
**Energy**: -6.827 eV/atom
**Relative energy among the computed polymorphs**: 0.000 eV/atom

Lattice parameters (Å, degrees): 6.773 6.773 10.525 86.93 86.93 120.31
Atoms (fractional coordinates):
La 0.475 0.475 0.242
La 0.862 0.195 0.740
La 0.805 0.138 0.260
La 0.525 0.525 0.758
La 0.195 0.862 0.740
La 0.138 0.805 0.260
Cu 0.337 0.663 0.500
Cu 0.663 0.337 0.500
Cu 0.000 0.000 0.000
Cu 0.000 0.000 0.500
Cu 0.000 0.500 0.000
Cu 0.500 0.000 0.000
O 0.146 0.485 0.143
O 0.174 0.174 0.851
O 0.515 0.854 0.857
O 0.834 0.166 0.000
O 0.831 0.169 0.500
O 0.500 0.500 0.500
O 0.826 0.826 0.149
O 0.867 0.867 0.663
O 0.485 0.146 0.143
O 0.133 0.133 0.337
O 0.854 0.515 0.857
O 0.780 0.455 0.333
O 0.169 0.831 0.500
O 0.166 0.834 0.000
O 0.220 0.545 0.667
O 0.545 0.220 0.667
O 0.455 0.780 0.333

First-principles (PBE) data for a relaxed structure of La20Cu9O40, as listed in Materials Project.

**ΔH_f (0 K)**: -291.0 kJ per mole of atoms
**Space group**: P-1, No. 2
**Energy**: -7.452 eV/atom

Lattice parameters (Å, degrees): 8.944 10.366 11.687 100.01 109.68 103.71
Atoms (fractional coordinates):
La 0.277 0.786 0.713
La 0.079 0.386 0.911
La 0.122 0.014 0.889
La 0.326 0.418 0.681
La 0.921 0.614 0.089
La 0.703 0.703 0.771
La 0.510 0.310 0.980
La 0.120 0.510 0.384
La 0.909 0.110 0.580
La 0.312 0.911 0.181
La 0.490 0.690 0.020
La 0.297 0.297 0.229
La 0.091 0.890 0.420
La 0.880 0.490 0.616
La 0.688 0.089 0.819
La 0.674 0.582 0.319
La 0.480 0.196 0.511
La 0.878 0.986 0.111
La 0.520 0.804 0.489
La 0.723 0.214 0.287
Cu 0.299 0.100 0.699
Cu 0.099 0.699 0.900
Cu 0.901 0.801 0.600
Cu 0.299 0.600 0.200
Cu 0.701 0.400 0.800
Cu 0.099 0.199 0.400
Cu 0.500 0.000 0.000
Cu 0.901 0.301 0.100
Cu 0.701 0.900 0.301
O 0.093 0.955 0.654
O 0.994 0.756 0.754
O 0.188 0.545 0.775
O 0.985 0.145 0.973
O 0.410 0.657 0.627
O 0.212 0.252 0.826
O 0.015 0.855 0.027
O 0.105 0.444 0.146
O 0.404 0.044 0.846
O 0.006 0.244 0.246
O 0.205 0.643 0.047
O 0.607 0.444 0.650
O 0.907 0.045 0.346
O 0.304 0.844 0.945
O 0.505 0.245 0.745
O 0.766 0.941 0.696
O 0.366 0.140 0.096
O 0.963 0.340 0.496
O 0.566 0.540 0.897
O 0.165 0.741 0.294
O 0.037 0.660 0.504
O 0.434 0.460 0.103
O 0.835 0.259 0.706
O 0.234 0.059 0.304
O 0.634 0.860 0.904
O 0.895 0.556 0.854
O 0.495 0.755 0.255
O 0.696 0.156 0.055
O 0.393 0.556 0.350
O 0.596 0.956 0.154
O 0.289 0.351 0.452
O 0.195 0.157 0.554
O 0.795 0.357 0.953
O 0.788 0.748 0.174
O 0.386 0.943 0.575
O 0.590 0.343 0.373
O 0.812 0.455 0.225
O 0.614 0.057 0.425
O 0.711 0.649 0.548
O 0.805 0.843 0.446

First-principles (PBE) data for a relaxed structure of La2CuO4, as listed in Materials Project.

**ΔH_f (0 K)**: -286.8 kJ per mole of atoms
**Space group**: Cmce, No. 64
**Energy**: -7.403 eV/atom
**Relative energy among the computed polymorphs**: 0.070 eV/atom

Lattice parameters (Å, degrees): 7.112 7.112 5.400 90.00 90.00 135.48
Atoms (fractional coordinates):
La 0.639 0.361 0.995
La 0.861 0.139 0.495
La 0.139 0.861 0.505
La 0.361 0.639 0.005
Cu 0.000 0.000 0.000
Cu 0.500 0.500 0.500
O 0.814 0.186 0.014
O 0.251 0.249 0.250
O 0.749 0.751 0.750
O 0.686 0.314 0.514
O 0.186 0.814 0.986
O 0.249 0.251 0.750
O 0.751 0.749 0.250
O 0.314 0.686 0.486

First-principles (PBE) data for a relaxed structure of La6Cu6O17, as listed in Materials Project.

**ΔH_f (0 K)**: -236.5 kJ per mole of atoms
**Space group**: P312, No. 149
**Energy**: -6.819 eV/atom
**Relative energy among the computed polymorphs**: 0.008 eV/atom

Lattice parameters (Å, degrees): 6.758 6.758 10.469 90.00 90.00 120.00
Atoms (fractional coordinates):
La 0.000 0.000 0.231
La 0.667 0.333 0.754
La 0.667 0.333 0.246
La 0.000 0.000 0.769
La 0.333 0.667 0.710
La 0.333 0.667 0.290
Cu 0.835 0.165 0.500
Cu 0.835 0.669 0.500
Cu 0.008 0.504 0.000
Cu 0.331 0.165 0.500
Cu 0.496 0.992 0.000
Cu 0.496 0.504 0.000
O 0.701 0.030 0.656
O 0.970 0.299 0.344
O 0.701 0.671 0.344
O 0.667 0.333 0.000
O 0.667 0.333 0.500
O 0.000 0.000 0.500
O 0.970 0.671 0.656
O 0.329 0.299 0.656
O 0.009 0.665 0.147
O 0.329 0.030 0.344
O 0.009 0.345 0.853
O 0.335 0.991 0.853
O 0.333 0.667 0.500
O 0.333 0.667 0.000
O 0.655 0.991 0.147
O 0.335 0.345 0.147
O 0.655 0.665 0.853

First-principles (PBE) data for a relaxed structure of La2CuO4, as listed in Materials Project.

**ΔH_f (0 K)**: -286.0 kJ per mole of atoms
**Space group**: Cmc2_1, No. 36
**Energy**: -7.395 eV/atom
**Relative energy among the computed polymorphs**: 0.077 eV/atom

Lattice parameters (Å, degrees): 19.940 19.940 5.439 90.00 90.00 164.49
Atoms (fractional coordinates):
La 0.203 0.797 0.488
La 0.130 0.870 0.990
La 0.870 0.130 0.490
La 0.797 0.203 0.988
La 0.704 0.296 0.010
La 0.630 0.370 0.509
La 0.537 0.463 0.504
La 0.463 0.537 0.004
La 0.370 0.630 0.009
La 0.296 0.704 0.510
La 0.037 0.963 0.994
La 0.963 0.037 0.494
Cu 0.750 0.250 0.499
Cu 0.583 0.417 0.999
Cu 0.417 0.583 0.499
Cu 0.250 0.750 0.999
Cu 0.083 0.917 0.496
Cu 0.917 0.083 0.996
O 0.832 0.665 0.247
O 0.188 0.812 0.036
O 0.145 0.855 0.528
O 0.502 0.998 0.250
O 0.498 0.002 0.750
O 0.335 0.168 0.247
O 0.855 0.145 0.028
O 0.812 0.188 0.536
O 0.688 0.312 0.463
O 0.645 0.355 0.963
O 0.164 0.330 0.248
O 0.168 0.335 0.747
O 0.002 0.498 0.250
O 0.998 0.502 0.750
O 0.521 0.479 0.938
O 0.479 0.521 0.438
O 0.355 0.645 0.463
O 0.312 0.688 0.963
O 0.836 0.670 0.748
O 0.670 0.836 0.248
O 0.665 0.832 0.747
O 0.022 0.978 0.480
O 0.978 0.022 0.980
O 0.330 0.164 0.748

First-principles (PBE) data for a relaxed structure of La2CuO4, as listed in Materials Project.

**ΔH_f (0 K)**: -287.9 kJ per mole of atoms
**Space group**: Cmce, No. 64
**Energy**: -7.415 eV/atom
**Relative energy among the computed polymorphs**: 0.058 eV/atom

Lattice parameters (Å, degrees): 7.078 7.078 5.543 90.00 90.00 135.53
Atoms (fractional coordinates):
La 0.361 0.639 0.985
La 0.639 0.361 0.015
La 0.861 0.139 0.515
La 0.139 0.861 0.485
Cu 0.000 0.000 0.000
Cu 0.500 0.500 0.500
O 0.261 0.239 0.750
O 0.813 0.187 0.940
O 0.687 0.313 0.440
O 0.239 0.261 0.250
O 0.761 0.739 0.750
O 0.313 0.687 0.560
O 0.187 0.813 0.060
O 0.739 0.761 0.250

First-principles (PBE) data for a relaxed structure of La12Cu6O25, as listed in Materials Project.

**ΔH_f (0 K)**: -283.3 kJ per mole of atoms
**Space group**: C2, No. 5
**Energy**: -7.362 eV/atom

Lattice parameters (Å, degrees): 8.911 8.911 7.676 77.54 77.54 94.16
Atoms (fractional coordinates):
La 0.357 0.973 0.917
La 0.974 0.031 0.252
La 0.689 0.310 0.247
La 0.355 0.968 0.421
La 0.027 0.643 0.083
La 0.311 0.363 0.082
La 0.969 0.026 0.748
La 0.690 0.311 0.753
La 0.647 0.686 0.418
La 0.314 0.353 0.582
La 0.637 0.689 0.918
La 0.032 0.645 0.579
Cu 0.001 0.334 0.916
Cu 0.666 0.999 0.084
Cu 0.337 0.664 0.249
Cu 0.001 0.336 0.416
Cu 0.664 0.999 0.584
Cu 0.336 0.663 0.751
O 0.840 0.160 0.000
O 0.486 0.173 0.086
O 0.849 0.825 0.076
O 0.175 0.151 0.924
O 0.993 0.339 0.168
O 0.828 0.172 0.500
O 0.315 0.685 0.000
O 0.666 0.006 0.333
O 0.505 0.828 0.170
O 0.432 0.125 0.610
O 0.153 0.853 0.261
O 0.512 0.490 0.190
O 0.174 0.150 0.414
O 0.850 0.826 0.586
O 0.875 0.568 0.390
O 0.181 0.489 0.336
O 0.994 0.334 0.667
O 0.592 0.408 0.500
O 0.511 0.819 0.664
O 0.661 0.007 0.832
O 0.344 0.656 0.500
O 0.827 0.514 0.914
O 0.147 0.847 0.739
O 0.510 0.488 0.810
O 0.172 0.495 0.830

First-principles (PBE) data for a relaxed structure of La8Cu3O16, as listed in Materials Project.

**ΔH_f (0 K)**: -216.0 kJ per mole of atoms
**Space group**: P-1, No. 2
**Energy**: -6.682 eV/atom
**Relative energy among the computed polymorphs**: 0.820 eV/atom

Lattice parameters (Å, degrees): 7.107 7.541 8.421 116.53 96.77 105.51
Atoms (fractional coordinates):
La 0.269 0.090 0.323
La 0.723 0.430 0.673
La 0.277 0.570 0.327
La 0.278 0.844 0.811
La 0.277 0.359 0.814
La 0.731 0.910 0.677
La 0.722 0.156 0.189
La 0.723 0.641 0.186
Cu 0.000 0.500 0.500
Cu 0.000 0.749 0.000
Cu 0.000 0.251 0.000
O 0.993 0.877 0.248
O 0.631 0.544 0.411
O 0.000 0.384 0.245
O 0.003 0.743 0.501
O 0.623 0.051 0.400
O 0.636 0.792 0.907
O 0.632 0.306 0.898
O 0.377 0.949 0.600
O 0.000 0.616 0.755
O 0.997 0.257 0.499
O 0.000 0.000 0.000
O 0.000 0.500 0.000
O 0.369 0.456 0.589
O 0.368 0.694 0.102
O 0.364 0.208 0.093
O 0.007 0.123 0.752